[1]
A plane-wave DFT calculation with PBE with a Hubbard U was carried out for a relaxed Li4Mn2Cr3Sn3O16 crystal.

Computed properties:
energy relative to the elements	-2166	meV per atom
volume	311.5	Å³/f.u.
final energy	-6.659	eV per atom

Geometry as CIF:
```
data_Li4Mn2Cr3Sn3O16
_symmetry_space_group_name_H-M 'P 1'
_symmetry_Int_Tables_number 1
_symmetry_space_group_name_Hall 'P 1'
_cell_length_a 6.083
_cell_length_b 6.088
_cell_length_c 9.656
_cell_angle_alpha 89.22
_cell_angle_beta 89.35
_cell_angle_gamma 60.60
loop_
_atom_site_label
_atom_site_fract_x
_atom_site_fract_y
_atom_site_fract_z
Li1 0.000 0.000 0.000
Li2 0.001 0.000 0.508
Li3 0.351 0.352 0.099
Li4 0.686 0.687 0.606
Mn1 0.354 0.355 0.520
Mn2 0.685 0.686 0.005
Cr1 0.183 0.675 0.785
Cr2 0.674 0.184 0.785
Cr3 0.844 0.845 0.286
Sn1 0.180 0.182 0.789
Sn2 0.355 0.850 0.286
Sn3 0.849 0.355 0.286
O1 0.009 0.010 0.689
O2 0.012 0.013 0.186
O3 0.063 0.498 0.651
O4 0.177 0.178 0.409
O5 0.181 0.682 0.404
O6 0.334 0.846 0.900
O7 0.350 0.350 0.893
O8 0.493 0.494 0.658
O9 0.496 0.065 0.651
O10 0.539 0.541 0.149
O11 0.541 0.987 0.163
O12 0.683 0.180 0.404
O13 0.684 0.684 0.402
O14 0.844 0.845 0.894
O15 0.846 0.333 0.900
O16 0.984 0.544 0.162
```

***

[2]
A plane-wave DFT calculation with PBE with a Hubbard U was carried out for a relaxed CeCuW2O8 crystal.

Computed properties:
energy relative to the elements	-2351	meV per atom
volume	164.5	Å³/f.u.
final energy	-7.448	eV per atom

Geometry as CIF:
```
data_CeCuW2O8
_symmetry_space_group_name_H-M 'P -1'
_symmetry_Int_Tables_number 2
_symmetry_space_group_name_Hall '-P 1'
_cell_length_a 7.269
_cell_length_b 7.469
_cell_length_c 7.627
_cell_angle_alpha 113.96
_cell_angle_beta 116.23
_cell_angle_gamma 91.22
loop_
_atom_site_label
_atom_site_fract_x
_atom_site_fract_y
_atom_site_fract_z
Ce1 0.185 0.288 0.465
Cu1 0.242 0.676 0.991
W1 0.264 0.294 0.033
W2 0.350 0.896 0.712
O1 0.042 0.308 0.088
O2 0.138 0.989 0.801
O3 0.175 0.637 0.554
O4 0.190 0.356 0.802
O5 0.292 0.994 0.519
O6 0.386 0.176 0.258
O7 0.457 0.538 0.256
O8 0.479 0.827 0.007
```

***

[3]
A plane-wave DFT calculation with PBE with a Hubbard U was carried out for a relaxed Sr2CrOsO6 crystal.

Computed properties:
energy relative to the elements	-2458	meV per atom
volume	124.6	Å³/f.u.
final energy	-7.241	eV per atom

Geometry as CIF:
```
data_Sr2CrOsO6
_symmetry_space_group_name_H-M 'P -1'
_symmetry_Int_Tables_number 2
_symmetry_space_group_name_Hall '-P 1'
_cell_length_a 5.581
_cell_length_b 5.630
_cell_length_c 7.930
_cell_angle_alpha 90.02
_cell_angle_beta 90.75
_cell_angle_gamma 90.01
loop_
_atom_site_label
_atom_site_fract_x
_atom_site_fract_y
_atom_site_fract_z
Sr1 0.005 0.499 0.249
Sr2 0.495 0.001 0.751
Cr1 0.000 0.000 0.000
Cr2 0.500 0.500 0.500
Os1 0.000 0.000 0.500
Os2 0.500 0.500 0.000
O1 0.002 0.052 0.747
O2 0.217 0.723 0.526
O3 0.235 0.268 0.022
O4 0.268 0.765 0.978
O5 0.278 0.216 0.475
O6 0.499 0.544 0.248
```

***

[4]
A plane-wave DFT calculation with PBE with a Hubbard U was carried out for a relaxed Li11Mn12B12O36 crystal.

Computed properties:
energy relative to the elements	-2491	meV per atom
volume	756.1	Å³/f.u.
final energy	-7.343	eV per atom

Geometry as CIF:
```
data_Li11Mn12B12O36
_symmetry_space_group_name_H-M 'P 1'
_symmetry_Int_Tables_number 1
_symmetry_space_group_name_Hall 'P 1'
_cell_length_a 8.852
_cell_length_b 8.890
_cell_length_c 10.436
_cell_angle_alpha 98.73
_cell_angle_beta 98.42
_cell_angle_gamma 107.88
loop_
_atom_site_label
_atom_site_fract_x
_atom_site_fract_y
_atom_site_fract_z
Li1 0.000 0.000 0.000
Li2 0.027 0.445 0.760
Li3 0.158 0.892 0.475
Li4 0.250 0.249 0.250
Li5 0.278 0.695 0.012
Li6 0.408 0.142 0.723
Li7 0.528 0.945 0.265
Li8 0.657 0.392 0.975
Li9 0.750 0.750 0.749
Li10 0.778 0.195 0.513
Li11 0.908 0.643 0.225
Mn1 0.021 0.379 0.049
Mn2 0.124 0.833 0.771
Mn3 0.172 0.257 0.539
Mn4 0.273 0.624 0.302
Mn5 0.376 0.082 0.022
Mn6 0.418 0.502 0.784
Mn7 0.522 0.868 0.552
Mn8 0.621 0.334 0.274
Mn9 0.664 0.753 0.039
Mn10 0.772 0.127 0.800
Mn11 0.868 0.583 0.521
Mn12 0.915 0.005 0.291
B1 0.146 0.196 0.828
B2 0.186 0.903 0.204
B3 0.224 0.612 0.580
B4 0.396 0.447 0.077
B5 0.435 0.146 0.452
B6 0.478 0.862 0.828
B7 0.646 0.701 0.327
B8 0.693 0.405 0.708
B9 0.728 0.113 0.080
B10 0.896 0.947 0.577
B11 0.937 0.655 0.954
B12 0.978 0.364 0.329
O1 0.018 0.482 0.254
O2 0.022 0.179 0.899
O3 0.042 0.566 0.944
O4 0.065 0.258 0.335
O5 0.070 0.867 0.282
O6 0.096 0.604 0.647
O7 0.178 0.313 0.754
O8 0.196 0.026 0.133
O9 0.237 0.093 0.834
O10 0.266 0.731 0.503
O11 0.272 0.432 0.148
O12 0.291 0.814 0.196
O13 0.309 0.509 0.590
O14 0.320 0.114 0.532
O15 0.354 0.851 0.897
O16 0.428 0.564 0.001
O17 0.438 0.255 0.373
O18 0.487 0.345 0.084
O19 0.513 0.975 0.748
O20 0.521 0.699 0.393
O21 0.545 0.060 0.451
O22 0.570 0.760 0.838
O23 0.571 0.364 0.782
O24 0.603 0.100 0.148
O25 0.684 0.815 0.249
O26 0.716 0.537 0.652
O27 0.733 0.596 0.336
O28 0.765 0.230 0.002
O29 0.770 0.930 0.647
O30 0.793 0.310 0.696
O31 0.818 0.009 0.086
O32 0.820 0.616 0.031
O33 0.852 0.352 0.397
O34 0.929 0.066 0.503
O35 0.950 0.782 0.889
O36 0.986 0.845 0.583
```

***

[5]
A plane-wave DFT calculation with PBE with a Hubbard U was carried out for a relaxed Li4CrP2O9 crystal.

Computed properties:
energy relative to the elements	-2556	meV per atom
volume	178.8	Å³/f.u.
final energy	-6.585	eV per atom

Geometry as CIF:
```
data_Li4CrP2O9
_symmetry_space_group_name_H-M 'P b c a'
_symmetry_Int_Tables_number 61
_symmetry_space_group_name_Hall '-P 2ac 2ab'
_cell_length_a 6.733
_cell_length_b 14.749
_cell_length_c 14.406
_cell_angle_alpha 90.00
_cell_angle_beta 90.00
_cell_angle_gamma 90.00
loop_
_atom_site_label
_atom_site_fract_x
_atom_site_fract_y
_atom_site_fract_z
Li1 0.001 0.123 0.129
Li2 0.198 0.228 0.519
Li3 0.222 0.504 0.997
Li4 0.245 0.025 0.747
Cr1 0.248 0.733 0.754
P1 0.002 0.118 0.362
P2 0.002 0.613 0.604
O1 0.001 0.670 0.514
O2 0.002 0.247 0.706
O3 0.002 0.510 0.589
O4 0.005 0.083 0.463
O5 0.006 0.044 0.286
O6 0.186 0.132 0.834
O7 0.194 0.178 0.354
O8 0.194 0.676 0.149
O9 0.196 0.635 0.660
```

***

[6]
A plane-wave DFT calculation with PBE with a Hubbard U was carried out for a relaxed NiSO9 crystal.

Computed properties:
energy relative to the elements	-197	meV per atom
volume	183.1	Å³/f.u.
final energy	-4.784	eV per atom

Geometry as CIF:
```
data_NiSO9
_symmetry_space_group_name_H-M 'P 1'
_symmetry_Int_Tables_number 1
_symmetry_space_group_name_Hall 'P 1'
_cell_length_a 5.479
_cell_length_b 5.921
_cell_length_c 6.170
_cell_angle_alpha 89.23
_cell_angle_beta 66.62
_cell_angle_gamma 85.61
loop_
_atom_site_label
_atom_site_fract_x
_atom_site_fract_y
_atom_site_fract_z
Ni1 0.000 0.000 0.000
S1 0.183 0.488 0.906
O1 0.119 0.287 0.805
O2 0.121 0.015 0.265
O3 0.319 0.648 0.687
O4 0.345 0.839 0.827
O5 0.562 0.332 0.158
O6 0.668 0.158 0.227
O7 0.684 0.582 0.216
O8 0.857 0.666 0.005
O9 0.948 0.988 0.472
```

***

[7]
A plane-wave DFT calculation with PBE with a Hubbard U was carried out for a relaxed MgVPbO3 crystal.

Computed properties:
energy relative to the elements	-1895	meV per atom
volume	97.5	Å³/f.u.
final energy	-6.142	eV per atom

Geometry as CIF:
```
data_MgVPbO3
_symmetry_space_group_name_H-M 'P 4 m m'
_symmetry_Int_Tables_number 99
_symmetry_space_group_name_Hall 'P 4 -2'
_cell_length_a 3.776
_cell_length_b 3.776
_cell_length_c 6.842
_cell_angle_alpha 90.00
_cell_angle_beta 90.00
_cell_angle_gamma 90.00
loop_
_atom_site_label
_atom_site_fract_x
_atom_site_fract_y
_atom_site_fract_z
Mg1 0.000 0.000 0.000
V1 0.500 0.500 0.794
Pb1 0.000 0.000 0.468
O1 0.000 0.500 0.907
O2 0.500 0.500 0.520
```

***

[8]
A plane-wave DFT calculation with PBE with a Hubbard U was carried out for a relaxed MgTiFeP3O12 crystal.

Computed properties:
energy relative to the elements	-2809	meV per atom
volume	222.1	Å³/f.u.
final energy	-7.425	eV per atom

Geometry as CIF:
```
data_MgTiFeP3O12
_symmetry_space_group_name_H-M 'R 3 c'
_symmetry_Int_Tables_number 161
_symmetry_space_group_name_Hall 'R 3 -2"c'
_cell_length_a 8.6214
_cell_length_b 8.6214
_cell_length_c 20.6994
_cell_angle_alpha 90.00
_cell_angle_beta 90.00
_cell_angle_gamma 120.00
loop_
_atom_site_label
_atom_site_fract_x
_atom_site_fract_y
_atom_site_fract_z
Mg1 0.0000 0.0000 0.0000
Ti1 0.0000 0.0000 0.3535
Fe1 0.0000 0.0000 0.1426
P1 0.9999 0.2953 0.2472
O1 0.0041 0.1902 0.3081
O2 0.0208 0.1836 0.9233
O3 0.1411 0.4662 0.8535
O4 0.1661 0.4836 0.2404
```

***

[9]
A plane-wave DFT calculation with PBE with a Hubbard U was carried out for a relaxed BaEr2NiO5 crystal.

Computed properties:
energy relative to the elements	-3146	meV per atom
volume	123.6	Å³/f.u.
final energy	-7.102	eV per atom

Geometry as CIF:
```
data_BaEr2NiO5
_symmetry_space_group_name_H-M 'I m m m'
_symmetry_Int_Tables_number 71
_symmetry_space_group_name_Hall '-I 2 2'
_cell_length_a 3.781
_cell_length_b 5.767
_cell_length_c 11.341
_cell_angle_alpha 90.00
_cell_angle_beta 90.00
_cell_angle_gamma 90.00
loop_
_atom_site_label
_atom_site_fract_x
_atom_site_fract_y
_atom_site_fract_z
Ba1 0.000 0.000 0.000
Er1 0.000 0.500 0.203
Ni1 0.000 0.000 0.500
O1 0.000 0.240 0.349
O2 0.000 0.500 0.000
```